VS2: relaxed, PBE.

Properties
Formation enthalpy at 0 K: -1.11 eV per atom
Total DFT energy (no corrections): -19.691 eV per formula unit

Cell lengths 6.6303, 6.6303, 6.6303 Å; angles 60.00, 60.00, 60.00 degrees
Sites, in units of the cell vectors:
V 0.1250 0.6250 0.6250
V 0.6250 0.6250 0.6250
V 0.6250 0.1250 0.6250
V 0.6250 0.6250 0.1250
S 0.3733 0.3733 0.3733
S 0.3733 0.3733 0.8801
S 0.3699 0.8767 0.8767
S 0.3733 0.8801 0.3733
S 0.8801 0.3733 0.3733
S 0.8767 0.3699 0.8767
S 0.8767 0.8767 0.8767
S 0.8767 0.8767 0.3699